KH3C2S2O | PBE | optimized geometry

- formation energy (eV/atom) = -0.6172
- E (MP2020) (eV per atom) = -5.39

a = 6.6470 Å, b = 10.7151 Å, c = 13.9771 Å
α = 71.62°, β = 82.04°, γ = 84.19°
With the nearest neighbours (Å) after each atom.
Fractional positions:
K 0.0758 0.1400 0.3239  1 O 2.81
K 0.2630 0.5508 0.8705  1 O 2.92
K 0.3366 0.4336 0.4026  1 O 2.85
K 0.6634 0.5664 0.5974  1 O 2.85
K 0.7370 0.4492 0.1295  1 O 2.92
K 0.9242 0.8600 0.6761  1 O 2.81
H 0.0088 0.2292 0.7760  1 C 1.10
H 0.0382 0.8472 0.0892  1 C 1.10
H 0.2078 0.2141 0.8555  1 C 1.10
H 0.2603 0.0551 0.1018  1 C 1.10
H 0.3407 0.8326 0.3156  1 C 1.10
H 0.4065 0.2047 0.6459  1 C 1.10
H 0.4160 0.8998 0.4078  1 C 1.10
H 0.4650 0.1608 0.0371  1 C 1.10
H 0.4801 0.0115 0.9031  1 C 1.10
H 0.5199 0.9885 0.0969  1 C 1.10
H 0.5350 0.8392 0.9629  1 C 1.10
H 0.5840 0.1002 0.5922  1 C 1.10
H 0.5935 0.7953 0.3541  1 C 1.10
H 0.6593 0.1674 0.6844  1 C 1.10
H 0.7397 0.9449 0.8982  1 C 1.10
H 0.7922 0.7859 0.1445  1 C 1.10
H 0.9618 0.1528 0.9108  1 C 1.10
H 0.9912 0.7708 0.2240  1 C 1.10
C 0.0436 0.2293 0.8506  3 H 1.10
C 0.1788 0.6873 0.5048  1 O 1.37
C 0.2037 0.5879 0.1456  1 O 1.36
C 0.3956 0.8690 0.7808  1 O 1.37
C 0.4192 0.0747 0.1012  3 H 1.10
C 0.4328 0.8152 0.3783  3 H 1.10
C 0.5672 0.1848 0.6217  3 H 1.10
C 0.5808 0.9253 0.8988  3 H 1.10
C 0.6044 0.1310 0.2192  1 O 1.37
C 0.7963 0.4121 0.8544  1 O 1.36
C 0.8212 0.3127 0.4952  1 O 1.37
C 0.9564 0.7707 0.1494  3 H 1.10
S 0.0058 0.1974 0.5409  1 C 1.69
S 0.1506 0.5493 0.6058  1 C 1.70
S 0.1797 0.8681 0.8599  1 C 1.68
S 0.2387 0.4377 0.1258  1 C 1.70
S 0.3810 0.6656 0.1769  1 C 1.69
S 0.4210 0.8335 0.6692  1 C 1.70
S 0.5790 0.1665 0.3308  1 C 1.70
S 0.6190 0.3344 0.8231  1 C 1.69
S 0.7613 0.5623 0.8742  1 C 1.70
S 0.8203 0.1319 0.1401  1 C 1.68
S 0.8494 0.4507 0.3942  1 C 1.70
S 0.9942 0.8026 0.4591  1 C 1.69
O 0.0107 0.6428 0.1350  2 C 1.36-1.45
O 0.3758 0.6970 0.4591  2 C 1.37-1.45
O 0.4254 0.1001 0.1965  2 C 1.37-1.45
O 0.5746 0.8999 0.8035  2 C 1.37-1.45
O 0.6242 0.3030 0.5409  2 C 1.37-1.45
O 0.9893 0.3572 0.8650  2 C 1.36-1.45